Record 1
The following is a DFT calculation (GGA-PBE) of a geometry-optimized Y2Si5Ir3 structure.

Lattice parameters (Å, degrees): 8.1447 8.1447 8.1447 137.91 104.37 90.55
Fractional positions:
Y (0.4008, 0.1307, 0.2700)
Ir (0.0000, 0.2500, 0.2500)
Ir (0.7531, 0.1395, 0.6136)
Si (0.9511, 0.1064, 0.8447)
Si (0.7383, 0.3936, 0.3447)
Si (0.2261, 0.9761, 0.7500)
Ir (0.0000, 0.7500, 0.7500)
Si (0.5000, 0.2500, 0.7500)
Si (0.7739, 0.0239, 0.2500)
Si (0.2261, 0.4761, 0.2500)
Ir (0.2469, 0.8605, 0.3864)
Si (0.0489, 0.8936, 0.1553)
Si (0.5000, 0.7500, 0.2500)
Y (0.8607, 0.6307, 0.2300)
Si (0.7739, 0.5239, 0.7500)
Y (0.5992, 0.8693, 0.7300)
Ir (0.5259, 0.6395, 0.8864)
Y (0.1393, 0.3693, 0.7700)
Ir (0.4741, 0.3605, 0.1136)
Si (0.2617, 0.6064, 0.6553)

Summary:
formation enthalpy at 0 K = -0.983 eV/atom
total DFT energy (no corrections) = -7.64 eV per atom
ρ = 8.88 g/cm³

=====

Record 2
The following is a DFT calculation (GGA-PBE) of a geometry-optimized SrLiAlF6 structure.

Lattice parameters (Å, degrees): 5.1653 5.1653 10.3533 90.00 90.00 120.00
Fractional positions:
F (0.6456, 0.0321, 0.3514)
Li (0.6667, 0.3333, 0.7500)
F (0.0321, 0.3865, 0.6486)
F (0.6135, 0.6456, 0.6486)
F (0.9679, 0.6135, 0.3514)
F (0.3865, 0.3544, 0.3514)
F (0.3544, 0.9679, 0.6486)
F (0.6135, 0.9679, 0.8514)
F (0.9679, 0.3544, 0.1486)
Li (0.3333, 0.6667, 0.2500)
F (0.3865, 0.0321, 0.1486)
F (0.0321, 0.6456, 0.8514)
Sr (0.0000, 0.0000, 0.5000)
Sr (0.0000, 0.0000, 0.0000)
Al (0.3333, 0.6667, 0.7500)
F (0.3544, 0.3865, 0.8514)
Al (0.6667, 0.3333, 0.2500)
F (0.6456, 0.6135, 0.1486)

Summary:
MP2020-corrected energy = -5.968 eV per atom
formation enthalpy at 0 K = -3.876 eV/atom
total DFT energy (no corrections) = -5.66 eV per atom
energy above the most stable polymorph in this dataset = 0.0 meV/atom
ρ = 3.27 g/cm³

=====

Record 3
The following is a DFT calculation (GGA-PBE) of a geometry-optimized GdAl4Ni structure.

Lattice parameters (Å, degrees): 8.0500 8.0500 6.5296 90.00 90.00 150.42
Fractional positions:
Al (0.5000, 0.5000, 0.5000)
Al (0.6897, 0.3103, 0.5511)
Al (0.3103, 0.6897, 0.0511)
Al (0.0764, 0.9236, 0.7500)
Al (0.9236, 0.0764, 0.2500)
Ni (0.2238, 0.7762, 0.7500)
Gd (0.8848, 0.1152, 0.7500)
Al (0.5000, 0.5000, 0.0000)
Ni (0.7762, 0.2238, 0.2500)
Al (0.6897, 0.3103, 0.9489)
Gd (0.1152, 0.8848, 0.2500)
Al (0.3103, 0.6897, 0.4489)

Summary:
formation enthalpy at 0 K = -0.557 eV/atom
total DFT energy (no corrections) = -6.36 eV per atom
ρ = 5.15 g/cm³

=====

Record 4
The following is a DFT calculation (GGA-PBE) of a geometry-optimized Ce3Ir structure.

Lattice parameters (Å, degrees): 6.1685 7.0803 9.8100 90.00 90.00 90.00
Fractional positions:
Ce (0.8472, 0.8290, 0.9430)
Ce (0.8546, 0.5344, 0.2500)
Ce (0.1454, 0.4656, 0.7500)
Ce (0.3546, 0.9656, 0.7500)
Ce (0.6528, 0.3290, 0.9430)
Ce (0.1528, 0.1710, 0.0570)
Ce (0.3472, 0.6710, 0.0570)
Ce (0.6454, 0.0344, 0.2500)
Ir (0.0894, 0.8763, 0.2500)
Ir (0.4106, 0.3763, 0.2500)
Ir (0.5894, 0.6237, 0.7500)
Ce (0.6528, 0.3290, 0.5570)
Ce (0.3472, 0.6710, 0.4430)
Ce (0.1528, 0.1710, 0.4430)
Ir (0.9106, 0.1237, 0.7500)
Ce (0.8472, 0.8290, 0.5570)

Summary:
formation enthalpy at 0 K = -0.408 eV/atom
total DFT energy (no corrections) = -7.07 eV per atom
ρ = 9.50 g/cm³

=====

Record 5
The following is a DFT calculation (GGA-PBE) of a geometry-optimized MgAg4Ru4O12 structure.

Lattice parameters (Å, degrees): 7.2838 7.3194 7.3291 60.04 89.98 120.16
Fractional positions:
Ag (0.0260, 0.0577, 0.0266)
O (0.1783, 0.7538, 0.1707)
Ag (0.0261, 0.4420, 0.0265)
Ru (0.5097, 0.5167, 0.4917)
Mg (0.2072, 0.9737, 0.7601)
Ru (0.5097, 0.0014, 0.4917)
Ru (0.0005, 0.4999, 0.5005)
Ag (0.4348, 0.4566, 0.0214)
O (0.1771, 0.3439, 0.5765)
O (0.4152, 0.8555, 0.8224)
O (0.4152, 0.2373, 0.8225)
Ag (0.0276, 0.0588, 0.4102)
Ru (0.5078, 0.9999, 0.0079)
O (0.5706, 0.1352, 0.1825)
O (0.1771, 0.7567, 0.5765)
O (0.8217, 0.6362, 0.4336)
O (0.4192, 0.2414, 0.4365)
O (0.5643, 0.7477, 0.5688)
O (0.5706, 0.7528, 0.1824)
O (0.8232, 0.2531, 0.8168)
O (0.8217, 0.2518, 0.4336)

Summary:
MP2020-corrected energy = -6.309 eV per atom
formation enthalpy at 0 K = -1.099 eV/atom
total DFT energy (no corrections) = -5.92 eV per atom
energy above the most stable polymorph in this dataset = 0.0 meV/atom
ρ = 6.34 g/cm³

=====

Record 6
The following is a DFT calculation (GGA-PBE) of a geometry-optimized Na3MgPCO7 structure.

Lattice parameters (Å, degrees): 6.5848 5.3034 9.0202 89.71 90.00 90.00
Fractional positions:
O (0.7530, 0.8803, 0.4988)
P (0.7595, 0.0222, 0.3469)
O (0.7649, 0.4216, 0.7098)
O (0.4454, 0.0736, 0.7460)
O (0.5653, 0.9570, 0.2560)
Na (0.5144, 0.4988, 0.4890)
O (0.7503, 0.7306, 0.8817)
O (0.2586, 0.6796, 0.0478)
Na (0.0116, 0.0005, 0.9954)
O (0.0653, 0.0430, 0.7440)
C (0.7594, 0.4902, 0.8471)
O (0.2649, 0.5784, 0.2902)
Mg (0.2557, 0.9836, 0.2941)
O (0.9454, 0.9264, 0.2540)
O (0.2503, 0.2694, 0.1183)
O (0.7586, 0.3204, 0.9522)
P (0.2595, 0.9778, 0.6531)
Na (0.8103, 0.5469, 0.1671)
O (0.2530, 0.1197, 0.5012)
O (0.2769, 0.6908, 0.6298)
Na (0.0144, 0.5012, 0.5110)
Na (0.3103, 0.4531, 0.8329)
Mg (0.7557, 0.0164, 0.7059)
C (0.2594, 0.5098, 0.1529)
Na (0.5116, 0.9995, 0.0046)
O (0.7769, 0.3092, 0.3702)

Summary:
MP2020-corrected energy = -6.730 eV per atom
formation enthalpy at 0 K = -2.511 eV/atom
total DFT energy (no corrections) = -6.36 eV per atom
energy above the most stable polymorph in this dataset = 24.1 meV/atom
ρ = 2.62 g/cm³

=====

Record 7
The following is a DFT calculation (GGA-PBE) of a geometry-optimized Mg2PbW structure.

Lattice parameters (Å, degrees): 4.8742 4.8742 4.8742 60.00 60.00 60.00
Fractional positions:
Pb (0.7500, 0.7500, 0.7500)
Mg (0.2500, 0.2500, 0.2500)
W (0.0000, 0.0000, 0.0000)
Mg (0.5000, 0.5000, 0.5000)

Summary:
formation enthalpy at 0 K = 0.772 eV/atom
total DFT energy (no corrections) = -4.20 eV per atom
ρ = 8.92 g/cm³

=====

Record 8
The following is a DFT calculation (GGA-PBE) of a geometry-optimized Eu2MgSe4 structure.

Lattice parameters (Å, degrees): 14.5395 8.5443 6.9537 90.00 90.00 90.00
Fractional positions:
Eu (0.5000, 0.5000, 0.0000)
Se (0.3331, 0.5130, 0.2503)
Se (0.3331, 0.9870, 0.2503)
Se (0.0684, 0.7500, 0.2446)
Eu (0.5000, 0.0000, 0.0000)
Mg (0.0914, 0.2500, 0.9245)
Se (0.6669, 0.4870, 0.7497)
Eu (0.7323, 0.7500, 0.4996)
Se (0.1669, 0.4870, 0.7503)
Se (0.8331, 0.5130, 0.2497)
Se (0.5684, 0.7500, 0.2554)
Eu (0.0000, 0.5000, 0.5000)
Se (0.1669, 0.0130, 0.7503)
Mg (0.9086, 0.7500, 0.0755)
Se (0.6669, 0.0130, 0.7497)
Mg (0.5914, 0.2500, 0.5755)
Se (0.4316, 0.2500, 0.7446)
Se (0.0919, 0.2500, 0.2898)
Se (0.4081, 0.7500, 0.7898)
Eu (0.2323, 0.7500, 0.0004)
Eu (0.7677, 0.2500, 0.9996)
Eu (0.2677, 0.2500, 0.5004)
Se (0.5919, 0.2500, 0.2102)
Mg (0.4086, 0.7500, 0.4245)
Eu (0.0000, 0.0000, 0.5000)
Se (0.9081, 0.7500, 0.7102)
Se (0.9316, 0.2500, 0.7554)
Se (0.8331, 0.9870, 0.2497)

Summary:
MP2020-corrected energy = -6.812 eV per atom
formation enthalpy at 0 K = -1.655 eV/atom
total DFT energy (no corrections) = -6.54 eV per atom
energy above the most stable polymorph in this dataset = 23.6 meV/atom
ρ = 4.95 g/cm³

=====

Record 9
The following is a DFT calculation (GGA-PBE) of a geometry-optimized HoAgSe2 structure.

Lattice parameters (Å, degrees): 7.2707 7.2707 5.7078 66.91 66.91 46.19
Fractional positions:
Ho (0.2503, 0.2503, 0.2570)
Se (0.4870, 0.4870, 0.0121)
Ho (0.0006, 0.0006, 0.0066)
Se (0.7644, 0.7644, 0.2412)
Se (0.2369, 0.2369, 0.7699)
Ag (0.5025, 0.5025, 0.4919)
Se (0.0141, 0.0141, 0.4918)
Ag (0.7508, 0.7508, 0.7533)

Summary:
MP2020-corrected energy = -5.001 eV per atom
formation enthalpy at 0 K = -1.399 eV/atom
total DFT energy (no corrections) = -4.76 eV per atom
ρ = 7.26 g/cm³

=====

Record 10
The following is a DFT calculation (GGA-PBE) of a geometry-optimized KTbNdSbO6 structure.

Lattice parameters (Å, degrees): 5.9201 5.9201 5.9201 60.00 60.00 60.00
Fractional positions:
O (0.2370, 0.7630, 0.2370)
O (0.7630, 0.7630, 0.2370)
K (0.7500, 0.7500, 0.7500)
O (0.7630, 0.2370, 0.2370)
Nd (0.2500, 0.2500, 0.2500)
Tb (0.5000, 0.5000, 0.5000)
Sb (0.0000, 0.0000, 0.0000)
O (0.7630, 0.2370, 0.7630)
O (0.2370, 0.2370, 0.7630)
O (0.2370, 0.7630, 0.7630)

Summary:
MP2020-corrected energy = -7.236 eV per atom
formation enthalpy at 0 K = -2.803 eV/atom
total DFT energy (no corrections) = -6.82 eV per atom
ρ = 6.34 g/cm³

=====

Record 11
The following is a DFT calculation (GGA-PBE) of a geometry-optimized BeH8SO8 structure.

Lattice parameters (Å, degrees): 7.7339 7.7339 7.7339 115.98 115.98 97.12
Fractional positions:
O (0.0410, 0.7485, 0.4546)
H (0.8861, 0.0737, 0.7239)
O (0.4136, 0.9590, 0.7075)
O (0.5229, 0.5541, 0.2390)
H (0.9263, 0.6502, 0.8124)
H (0.3378, 0.1502, 0.7239)
H (0.7419, 0.3958, 0.9104)
H (0.4263, 0.6139, 0.2761)
H (0.8498, 0.5737, 0.1876)
O (0.8150, 0.0541, 0.0312)
O (0.9136, 0.2061, 0.4546)
H (0.8378, 0.1139, 0.1876)
H (0.3498, 0.1622, 0.2761)
S (0.2500, 0.7500, 0.5000)
O (0.7515, 0.4590, 0.5454)
H (0.6685, 0.0145, 0.9104)
Be (0.5000, 0.5000, 0.0000)
O (0.2939, 0.5864, 0.5454)
H (0.1042, 0.7581, 0.0896)
H (0.1685, 0.2581, 0.6540)
O (0.7161, 0.4771, 0.0312)
H (0.9855, 0.8958, 0.6540)
H (0.2419, 0.3315, 0.3460)
O (0.0229, 0.7839, 0.9688)
O (0.7939, 0.2485, 0.7075)
H (0.6042, 0.5145, 0.3460)
Be (0.0000, 0.0000, 0.0000)
O (0.3150, 0.2839, 0.7610)
O (0.4459, 0.6850, 0.9688)
O (0.2161, 0.1850, 0.2390)
O (0.9459, 0.9771, 0.7610)
H (0.4855, 0.8315, 0.0896)
S (0.7500, 0.2500, 0.5000)
O (0.5410, 0.0864, 0.2925)
O (0.2515, 0.7061, 0.2925)
H (0.3861, 0.6622, 0.8124)

Summary:
MP2020-corrected energy = -5.779 eV per atom
formation enthalpy at 0 K = -1.634 eV/atom
total DFT energy (no corrections) = -5.47 eV per atom
energy above the most stable polymorph in this dataset = 4.4 meV/atom
ρ = 1.71 g/cm³

=====

Record 12
The following is a DFT calculation (GGA-PBE) of a geometry-optimized H20RuC6NO14 structure.

Lattice parameters (Å, degrees): 6.0978 6.0978 23.4070 90.00 90.00 102.96
Fractional positions:
Ru (0.0000, 0.0000, 0.0000)
Ru (0.0000, 0.0000, 0.5000)
H (0.1974, 0.5922, 0.3566)
O (0.7859, 0.8648, 0.0657)
H (0.1969, 0.8031, 0.7142)
O (0.9292, 0.7037, 0.8427)
H (0.5517, 0.6581, 0.5638)
H (0.2813, 0.7187, 0.9895)
C (0.4890, 0.1872, 0.2500)
H (0.1974, 0.5922, 0.1434)
H (0.5786, 0.7481, 0.7882)
O (0.2963, 0.0708, 0.6573)
H (0.6581, 0.5517, 0.4362)
H (0.4078, 0.8026, 0.3566)
H (0.2369, 0.7631, 0.4381)
H (0.5922, 0.1974, 0.6434)
O (0.7946, 0.2054, 0.5202)
C (0.8212, 0.9756, 0.3865)
C (0.9756, 0.8212, 0.6135)
O (0.2141, 0.1352, 0.9343)
O (0.6142, 0.3858, 0.0627)
H (0.3419, 0.4483, 0.5638)
H (0.4483, 0.3419, 0.4362)
H (0.8031, 0.1969, 0.2858)
O (0.1352, 0.2141, 0.4343)
C (0.1788, 0.0244, 0.8865)
H (0.7631, 0.2369, 0.9381)
H (0.0036, 0.4438, 0.7500)
O (0.2054, 0.7946, 0.0202)
H (0.1969, 0.8031, 0.7858)
H (0.2813, 0.7187, 0.5105)
O (0.2963, 0.0708, 0.8427)
H (0.7631, 0.2369, 0.5619)
N (0.2627, 0.7373, 0.7500)
H (0.6581, 0.5517, 0.0638)
H (0.7187, 0.2813, 0.4895)
O (0.0708, 0.2963, 0.3427)
H (0.4438, 0.0036, 0.2500)
O (0.8648, 0.7859, 0.5657)
C (0.0244, 0.1788, 0.1135)
H (0.9964, 0.5562, 0.2500)
H (0.2519, 0.4214, 0.7882)
H (0.4078, 0.8026, 0.1434)
C (0.9756, 0.8212, 0.8865)
O (0.3858, 0.6142, 0.9373)
N (0.7373, 0.2627, 0.2500)
O (0.7037, 0.9292, 0.3427)
H (0.7481, 0.5786, 0.2882)
O (0.1352, 0.2141, 0.0657)
O (0.0708, 0.2963, 0.1573)
O (0.6142, 0.3858, 0.4373)
O (0.2054, 0.7946, 0.4798)
O (0.7490, 0.2510, 0.8701)
O (0.2141, 0.1352, 0.5657)
H (0.7481, 0.5786, 0.2118)
O (0.7037, 0.9292, 0.1573)
O (0.7946, 0.2054, 0.9798)
O (0.9292, 0.7037, 0.6573)
O (0.8648, 0.7859, 0.9343)
H (0.5562, 0.9964, 0.7500)
C (0.0244, 0.1788, 0.3865)
O (0.2510, 0.7490, 0.1299)
H (0.4214, 0.2519, 0.2118)
O (0.7859, 0.8648, 0.4343)
C (0.8128, 0.5110, 0.2500)
H (0.8026, 0.4078, 0.8566)
O (0.7490, 0.2510, 0.6299)
O (0.3858, 0.6142, 0.5627)
H (0.2369, 0.7631, 0.0619)
C (0.8212, 0.9756, 0.1135)
C (0.1872, 0.4890, 0.7500)
H (0.5786, 0.7481, 0.7118)
C (0.1788, 0.0244, 0.6135)
C (0.5110, 0.8128, 0.7500)
H (0.5922, 0.1974, 0.8566)
H (0.8026, 0.4078, 0.6434)
H (0.4214, 0.2519, 0.2882)
H (0.5517, 0.6581, 0.9362)
H (0.8031, 0.1969, 0.2142)
O (0.2510, 0.7490, 0.3701)
H (0.2519, 0.4214, 0.7118)
H (0.3419, 0.4483, 0.9362)
H (0.4483, 0.3419, 0.0638)
H (0.7187, 0.2813, 0.0105)

Summary:
MP2020-corrected energy = -6.073 eV per atom
formation enthalpy at 0 K = -1.070 eV/atom
total DFT energy (no corrections) = -5.84 eV per atom
ρ = 1.69 g/cm³